Entry 1:
Here is an optimized crystal structure of LiDy2Pt from the Materials Project. Energies are from GGA-PBE.

Properties
Energy in eV for the cell shown: -19.83
Total magnetic moment in μB/cell: 0.00
Crystal system: cubic

Unit cell a=4.9699 b=4.9699 c=4.9699 alpha=60.00 beta=60.00 gamma=60.00
Fractional coordinates of all 4 atoms:
Dy1 0.2500 0.2500 0.2500
Dy2 0.7500 0.7500 0.7500
Li1 0.5000 0.5000 0.5000
Pt1 0.0000 0.0000 0.0000

=====

Entry 2:
Here is an optimized crystal structure of Tb4ZrAl15 from the Materials Project. Energies are from GGA-PBE.

Properties
Energy in eV for the cell shown: -91.60
Total magnetic moment in μB/cell: 0.00
Crystal system: trigonal

Unit cell a=12.5144 b=12.5144 c=12.5144 alpha=28.07 beta=28.07 gamma=28.07
Fractional coordinates of all 20 atoms:
Tb1 0.6002 0.6002 0.6002
Tb2 0.1308 0.1308 0.1308
Tb3 0.8692 0.8692 0.8692
Tb4 0.3998 0.3998 0.3998
Al1 0.8830 0.8830 0.4278
Al2 0.8717 0.3636 0.3636
Al3 0.0000 0.5000 0.5000
Al4 0.6364 0.6364 0.1283
Al5 0.5000 0.5000 0.0000
Al6 0.5722 0.1170 0.1170
Al7 0.6364 0.1283 0.6364
Al8 0.1283 0.6364 0.6364
Al9 0.3636 0.3636 0.8717
Al10 0.8830 0.4278 0.8830
Al11 0.4278 0.8830 0.8830
Al12 0.3636 0.8717 0.3636
Al13 0.1170 0.1170 0.5722
Al14 0.1170 0.5722 0.1170
Al15 0.5000 0.0000 0.5000
Zr1 0.0000 0.0000 0.0000

=====

Entry 3:
Here is an optimized crystal structure of SmVSb3 from the Materials Project. Energies are from GGA-PBE.

Properties
Total magnetic moment in μB/cell: 12.27
E above lowest polymorph in meV/atom: 545.5
Crystal system: orthorhombic

Unit cell a=10.5303 b=6.9195 c=8.4197 alpha=90.00 beta=90.00 gamma=90.00
Fractional coordinates of all 20 atoms:
Sb1 0.0000 0.7500 0.6155
Sb2 0.2500 0.2735 0.8445
Sb3 0.0000 0.2500 0.3845
Sb4 0.7500 0.5144 0.4425
Sb5 0.7500 0.7265 0.1555
Sb6 0.5000 0.2500 0.3845
Sb7 0.2500 0.9856 0.4425
Sb8 0.7500 0.0144 0.5575
Sb9 0.2500 0.4856 0.5575
Sb10 0.7500 0.2265 0.8445
Sb11 0.5000 0.7500 0.6155
Sb12 0.2500 0.7735 0.1555
Sm1 0.7500 0.1665 0.2069
Sm2 0.2500 0.8335 0.7931
Sm3 0.2500 0.3335 0.2069
Sm4 0.7500 0.6665 0.7931
V1 0.5000 0.7500 0.2939
V2 0.0000 0.2500 0.7061
V3 0.0000 0.7500 0.2939
V4 0.5000 0.2500 0.7061

=====

Entry 4:
Here is an optimized crystal structure of MgFeCu5S4 from the Materials Project. Energies are from GGA-PBE.

Properties
Total magnetic moment in μB/cell: 2.46
E above lowest polymorph in meV/atom: 19.3
Crystal system: monoclinic

Unit cell a=3.8438 b=3.8369 c=14.1101 alpha=97.74 beta=90.00 gamma=120.06
Fractional coordinates of all 11 atoms:
Cu1 0.5600 0.1200 0.6840
Cu2 0.4508 0.9015 0.3583
Cu3 0.1705 0.3410 0.5083
Cu4 0.3058 0.6115 0.9198
Cu5 0.9327 0.8653 0.8015
S1 0.0070 0.0140 0.0200
S2 0.5088 0.0176 0.5212
S3 0.7610 0.5220 0.2837
S4 0.2523 0.5045 0.7577
Fe1 0.6763 0.3525 0.0295
Mg1 0.0666 0.1332 0.1995